[1]
First-principles (GGA-PBE) data for a relaxed structure of Nb4Ga5, as listed in the Materials Project.

a b c (Å): 11.9076 11.9076 17.1904
angles (deg): 90.00 90.00 90.00
Space group P4_2/mnm (No. 136)
Unique sites:
Nb 0.0000 0.5000 0.2500
Nb 0.0054 0.2931 0.1462
Nb 0.0127 0.7018 0.3511
Nb 0.1092 0.8908 0.2585
Nb 0.1172 0.1172 0.0000
Nb 0.1449 0.6533 0.5000
Nb 0.2471 0.2471 0.3989
Ga 0.0000 0.5000 0.0776
Ga 0.0654 0.2498 0.5000
Ga 0.0707 0.7184 0.0000
Ga 0.0901 0.9099 0.0889
Ga 0.0913 0.0913 0.1816
Ga 0.0965 0.0965 0.3415
Ga 0.1168 0.8832 0.4255
Ga 0.1664 0.3300 0.2606
Ga 0.2388 0.2388 0.1264

Computed properties:
Crystal system: tetragonal
Total moment: 0.0 μB/f.u.

[2]
First-principles (GGA-PBE) data for a relaxed structure of Nb3Ga2, as listed in the Materials Project.

a b c (Å): 6.9525 6.9525 3.5310
angles (deg): 90.00 90.00 90.00
Space group P4/mbm (No. 127)
Unique sites:
Nb 0.0000 0.0000 0.0000
Nb 0.1755 0.3245 0.5000
Ga 0.1260 0.6260 0.0000

Computed properties:
Crystal system: tetragonal

[3]
First-principles (GGA-PBE) data for a relaxed structure of Nb3Ga, as listed in the Materials Project.

a b c (Å): 5.1890 5.1890 5.1890
angles (deg): 90.00 90.00 90.00
Space group Pm-3n (No. 223)
Unique sites:
Nb 0.0000 0.2500 0.5000
Ga 0.0000 0.0000 0.0000

Computed properties:
Crystal system: cubic

[4]
First-principles (GGA-PBE) data for a relaxed structure of NbGa3, as listed in the Materials Project.

a b c (Å): 3.8299 3.8299 8.8154
angles (deg): 90.00 90.00 90.00
Space group I4/mmm (No. 139)
Unique sites:
Nb 0.0000 0.0000 0.0000
Ga 0.0000 0.0000 0.5000
Ga 0.0000 0.5000 0.2500

Computed properties:
Crystal system: tetragonal

| no. | E_tot (eV/atom) |
| --- | --- |
| 1 | -6.51 |
| 2 | -7.64 |
| 3 | -8.50 |
| 4 | -5.10 |